# VS2O8 GGA+U relaxed
data_VS2O8
_chemical_formula_sum 'V9 S18 O72'
_cell_length_a 8.3767
_cell_length_b 8.3767
_cell_length_c 22.3875
_cell_angle_alpha 90.00
_cell_angle_beta 90.00
_cell_angle_gamma 120.00
_space_group_name_H-M_alt 'R 3'
_space_group_IT_number 146
_space_group_name_Hall 'R 3'
loop_
_atom_site_label
_atom_site_fract_x
_atom_site_fract_y
_atom_site_fract_z
_atom_site_occupancy
V1 0.0000 0.0000 0.0000 1
V2 0.0000 0.0000 0.2078 1
V3 0.0000 0.0000 0.4974 1
S1 0.0051 0.2852 0.1020 1
S2 0.0526 0.6740 0.2698 1
O1 0.0065 0.1878 0.4439 1
O2 0.0132 0.8100 0.5442 1
O3 0.0183 0.1938 0.1601 1
O4 0.0830 0.2223 0.0535 1
O5 0.0835 0.2391 0.7600 1
O6 0.1614 0.6934 0.9227 1
O7 0.1781 0.7369 0.6148 1
O8 0.1846 0.7535 0.3166 1
# MP2020-corrected energy, eV per cell: -701.29
# Formation enthalpy at 0 K, eV per formula unit: -20.98
# ΔE to the lowest computed polymorph, eV/atom: 0.013

# NdMoO5 GGA+U relaxed
data_NdMoO5
_chemical_formula_sum 'Nd4 Mo4 O20'
_cell_length_a 5.506
_cell_length_b 12.885
_cell_length_c 7.152
_cell_angle_alpha 90.00
_cell_angle_beta 115.46
_cell_angle_gamma 90.00
_space_group_name_H-M_alt 'P 1 21/c 1'
_space_group_IT_number 14
loop_
_space_group_symop_operation_xyz
'x,y,z'
'-x,-y,-z'
'-x,y+1/2,-z+1/2'
'x,-y+1/2,z+1/2'
loop_
_atom_site_label
_atom_site_fract_x
_atom_site_fract_y
_atom_site_fract_z
_atom_site_occupancy
Nd1 0.149 0.058 0.287 1
Mo1 0.411 0.137 0.854 1
O1 0.002 0.576 0.951 1
O2 0.207 0.065 0.959 1
O3 0.275 0.650 0.427 1
O4 0.293 0.235 0.284 1
O5 0.492 0.572 0.838 1
# MP2020-corrected energy, eV per cell: -231.28
# Formation enthalpy at 0 K, eV per formula unit: -17.47

# MoH4O5 GGA+U relaxed
data_MoH4O5
_chemical_formula_sum 'Mo16 H64 O80'
_cell_length_a 10.644
_cell_length_b 14.185
_cell_length_c 15.380
_cell_angle_alpha 90.00
_cell_angle_beta 133.12
_cell_angle_gamma 90.00
_space_group_name_H-M_alt 'P 1 21/c 1'
_space_group_IT_number 14
loop_
_space_group_symop_operation_xyz
'x,y,z'
'-x,-y,-z'
'-x,y+1/2,-z+1/2'
'x,-y+1/2,z+1/2'
loop_
_atom_site_label
_atom_site_fract_x
_atom_site_fract_y
_atom_site_fract_z
_atom_site_occupancy
Mo1 0.038 0.224 0.130 1
Mo2 0.244 0.746 0.864 1
Mo3 0.259 0.240 0.897 1
Mo4 0.290 0.731 0.140 1
H1 0.033 0.038 0.687 1
H2 0.096 0.049 0.387 1
H3 0.103 0.039 0.136 1
H4 0.104 0.522 0.387 1
H5 0.106 0.072 0.944 1
H6 0.115 0.554 0.118 1
H7 0.142 0.584 0.777 1
H8 0.147 0.553 0.031 1
H9 0.292 0.091 0.221 1
H10 0.377 0.056 0.984 1
H11 0.383 0.067 0.625 1
H12 0.394 0.059 0.887 1
H13 0.400 0.532 0.868 1
H14 0.432 0.554 0.640 1
H15 0.449 0.535 0.302 1
H16 0.455 0.546 0.060 1
O1 0.010 0.747 0.505 1
O2 0.021 0.203 0.746 1
O3 0.022 0.003 0.382 1
O4 0.030 0.026 0.880 1
O5 0.136 0.650 0.370 1
O6 0.168 0.098 0.148 1
O7 0.197 0.576 0.110 1
O8 0.217 0.702 0.987 1
O9 0.227 0.138 0.393 1
O10 0.232 0.720 0.246 1
O11 0.239 0.195 0.993 1
O12 0.255 0.610 0.848 1
O13 0.260 0.239 0.762 1
O14 0.288 0.092 0.618 1
O15 0.325 0.082 0.906 1
O16 0.326 0.647 0.650 1
O17 0.471 0.011 0.365 1
O18 0.474 0.744 0.489 1
O19 0.482 0.504 0.626 1
O20 0.492 0.682 0.242 1
# MP2020-corrected energy, eV per cell: -1009.78
# Formation enthalpy at 0 K, eV per formula unit: -13.96
# ΔE to the lowest computed polymorph, eV/atom: 0.126

# LiMn2O4 GGA+U relaxed
data_LiMn2O4
_chemical_formula_sum 'Li2 Mn4 O8'
_cell_length_a 5.794
_cell_length_b 5.834
_cell_length_c 6.011
_cell_angle_alpha 118.83
_cell_angle_beta 118.62
_cell_angle_gamma 90.31
_space_group_name_H-M_alt 'P -1'
_space_group_IT_number 2
loop_
_space_group_symop_operation_xyz
'x,y,z'
'-x,-y,-z'
loop_
_atom_site_label
_atom_site_fract_x
_atom_site_fract_y
_atom_site_fract_z
_atom_site_occupancy
Li1 0.113 0.363 0.226 1
Mn1 0.000 0.000 0.500 1
Mn2 0.500 0.000 0.000 1
Mn3 0.500 0.000 0.500 1
Mn4 0.500 0.500 0.000 1
O1 0.247 0.223 0.947 1
O2 0.247 0.778 0.497 1
O3 0.250 0.219 0.496 1
O4 0.301 0.776 0.054 1
# MP2020-corrected energy, eV per cell: -109.00
# Formation enthalpy at 0 K, eV per formula unit: -14.48
# ΔE to the lowest computed polymorph, eV/atom: 0.000

# Na3CoPCO7 GGA+U relaxed
data_Na3CoPCO7
_chemical_formula_sum 'Na12 Co4 P4 C4 O28'
_cell_length_a 6.715
_cell_length_b 8.931
_cell_length_c 10.461
_cell_angle_alpha 88.77
_cell_angle_beta 89.97
_cell_angle_gamma 89.94
_space_group_name_H-M_alt 'P 1'
_space_group_IT_number 1
loop_
_space_group_symop_operation_xyz
'x,y,z'
loop_
_atom_site_label
_atom_site_fract_x
_atom_site_fract_y
_atom_site_fract_z
_atom_site_occupancy
Na1 0.000 0.000 0.000 1
Na2 0.000 0.000 0.499 1
Na3 0.243 0.812 0.258 1
Na4 0.244 0.813 0.760 1
Na5 0.487 0.001 0.500 1
Na6 0.488 0.999 0.999 1
Na7 0.500 0.461 0.245 1
Na8 0.500 0.461 0.746 1
Na9 0.744 0.649 0.487 1
Na10 0.744 0.649 0.986 1
Na11 0.988 0.460 0.245 1
Na12 0.988 0.462 0.747 1
Co1 0.244 0.382 0.484 1
Co2 0.246 0.377 0.982 1
Co3 0.740 0.083 0.263 1
Co4 0.747 0.083 0.763 1
P1 0.244 0.145 0.230 1
P2 0.244 0.146 0.729 1
P3 0.744 0.315 0.016 1
P4 0.744 0.315 0.516 1
C1 0.244 0.668 0.015 1
C2 0.244 0.669 0.515 1
C3 0.744 0.792 0.230 1
C4 0.744 0.793 0.730 1
O1 0.058 0.049 0.766 1
O2 0.059 0.049 0.266 1
O3 0.242 0.581 0.116 1
O4 0.243 0.177 0.082 1
O5 0.243 0.298 0.797 1
O6 0.244 0.176 0.581 1
O7 0.244 0.578 0.615 1
O8 0.244 0.606 0.902 1
O9 0.244 0.609 0.402 1
O10 0.244 0.812 0.024 1
O11 0.244 0.812 0.528 1
O12 0.245 0.296 0.299 1
O13 0.429 0.047 0.265 1
O14 0.429 0.049 0.767 1
O15 0.558 0.413 0.980 1
O16 0.559 0.412 0.480 1
O17 0.743 0.163 0.948 1
O18 0.743 0.284 0.664 1
O19 0.743 0.880 0.629 1
O20 0.744 0.163 0.447 1
O21 0.744 0.648 0.220 1
O22 0.744 0.649 0.721 1
O23 0.744 0.854 0.343 1
O24 0.744 0.854 0.843 1
O25 0.745 0.284 0.164 1
O26 0.745 0.880 0.129 1
O27 0.929 0.411 0.979 1
O28 0.929 0.412 0.480 1
# MP2020-corrected energy, eV per cell: -357.46
# Formation enthalpy at 0 K, eV per formula unit: -29.01
# ΔE to the lowest computed polymorph, eV/atom: 0.003

# NaFe8F24 GGA+U relaxed
data_NaFe8F24
_chemical_formula_sum 'Na2 Fe16 F48'
_cell_length_a 7.752
_cell_length_b 9.588
_cell_length_c 14.348
_cell_angle_alpha 89.51
_cell_angle_beta 74.41
_cell_angle_gamma 66.74
_space_group_name_H-M_alt 'P -1'
_space_group_IT_number 2
loop_
_space_group_symop_operation_xyz
'x,y,z'
'-x,-y,-z'
loop_
_atom_site_label
_atom_site_fract_x
_atom_site_fract_y
_atom_site_fract_z
_atom_site_occupancy
Na1 0.000 0.249 0.248 1
Fe1 0.064 0.065 0.813 1
Fe2 0.065 0.564 0.313 1
Fe3 0.190 0.187 0.440 1
Fe4 0.190 0.687 0.941 1
Fe5 0.316 0.813 0.560 1
Fe6 0.319 0.313 0.059 1
Fe7 0.439 0.936 0.186 1
Fe8 0.440 0.435 0.688 1
F1 0.019 0.267 0.767 1
F2 0.033 0.286 0.572 1
F3 0.050 0.801 0.592 1
F4 0.063 0.318 0.040 1
F5 0.089 0.844 0.054 1
F6 0.106 0.857 0.854 1
F7 0.140 0.391 0.393 1
F8 0.152 0.411 0.203 1
F9 0.168 0.939 0.219 1
F10 0.192 0.453 0.661 1
F11 0.213 0.962 0.679 1
F12 0.231 0.985 0.481 1
F13 0.268 0.526 0.019 1
F14 0.277 0.542 0.818 1
F15 0.304 0.053 0.838 1
F16 0.323 0.571 0.286 1
F17 0.328 0.094 0.304 1
F18 0.344 0.107 0.115 1
F19 0.380 0.643 0.646 1
F20 0.411 0.658 0.446 1
F21 0.425 0.178 0.466 1
F22 0.439 0.698 0.907 1
F23 0.474 0.213 0.922 1
F24 0.483 0.232 0.730 1
# MP2020-corrected energy, eV per cell: -404.71
# Formation enthalpy at 0 K, eV per formula unit: -87.32

# Ni2S3O12 GGA+U relaxed
data_Ni2S3O12
_chemical_formula_sum 'Ni12 S18 O72'
_cell_length_a 8.3079
_cell_length_b 8.3079
_cell_length_c 22.6202
_cell_angle_alpha 90.00
_cell_angle_beta 90.00
_cell_angle_gamma 120.00
_space_group_name_H-M_alt 'R -3'
_space_group_IT_number 148
_space_group_name_Hall '-R 3'
loop_
_atom_site_label
_atom_site_fract_x
_atom_site_fract_y
_atom_site_fract_z
_atom_site_occupancy
Ni1 0.0000 0.0000 0.1431 1
Ni2 0.0000 0.0000 0.3476 1
S1 0.0033 0.7096 0.2507 1
O1 0.0105 0.7989 0.1940 1
O2 0.0440 0.2161 0.0872 1
O3 0.0820 0.2300 0.7023 1
O4 0.0924 0.2304 0.3999 1
# MP2020-corrected energy, eV per cell: -660.06
# Formation enthalpy at 0 K, eV per formula unit: -26.66
# ΔE to the lowest computed polymorph, eV/atom: 0.000